CsSbS6O18F6 | PBE-GGA | optimized geometry

Results
Energy ... -177.161 eV per cell

a = 8.213 Å, b = 8.213 Å, c = 8.213 Å
α = 97.21°, β = 97.21°, γ = 97.21°
Sites, in units of the cell vectors:
O 0.848 0.863 0.322
O 0.606 0.771 0.921
O 0.313 0.352 0.570
O 0.648 0.430 0.687
S 0.440 0.737 0.839
O 0.352 0.570 0.313
O 0.394 0.229 0.079
S 0.839 0.440 0.737
S 0.737 0.839 0.440
F 0.363 0.565 0.889
S 0.560 0.263 0.161
O 0.678 0.152 0.137
O 0.771 0.921 0.606
F 0.435 0.111 0.637
Sb 0.500 0.500 0.500
F 0.565 0.889 0.363
O 0.229 0.079 0.394
O 0.921 0.606 0.771
O 0.570 0.313 0.352
O 0.687 0.648 0.430
O 0.079 0.394 0.229
F 0.889 0.363 0.565
Cs 0.000 0.000 0.000
S 0.161 0.560 0.263
O 0.430 0.687 0.648
O 0.137 0.678 0.152
F 0.111 0.637 0.435
O 0.322 0.848 0.863
S 0.263 0.161 0.560
O 0.152 0.137 0.678
F 0.637 0.435 0.111
O 0.863 0.322 0.848